VASP calculation (r²SCAN) on HfMo2 after structural relaxation.

a = 5.3403 Å, b = 5.3403 Å, c = 5.3403 Å
α = 60.00°, β = 60.00°, γ = 60.00°
Last column: nearest neighbours and their distance in Å.
Positions (direct):
Hf (0.1250, 0.1250, 0.1250)  12 Mo 3.13, 4 Hf 3.27
Hf (0.8750, 0.8750, 0.8750)  12 Mo 3.13, 4 Hf 3.27
Mo (0.0000, 0.5000, 0.5000)  6 Mo 2.67
Mo (0.5000, 0.0000, 0.5000)  6 Mo 2.67
Mo (0.5000, 0.5000, 0.0000)  6 Mo 2.67
Mo (0.5000, 0.5000, 0.5000)  6 Mo 2.67

- V (Å³/cell) = 107.7
- total magnetic moment (μB per cell) = 0.00
- crystal system = cubic
- space group = Fd-3m
- calculated formation energy (eV per atom) = -0.173
- distance to the lowest polymorph of the same formula (meV per atom) = 0


VASP calculation (r²SCAN) on Na3MoO3F3 after structural relaxation.

a = 5.8061 Å, b = 5.8061 Å, c = 5.8061 Å
α = 57.29°, β = 57.29°, γ = 57.29°
Last column: nearest neighbours and their distance in Å.
Positions (direct):
Na (0.0000, 0.0000, 0.0000)  3 F 2.23, 3 O 2.41
Na (0.2177, 0.2177, 0.2177)  3 F 2.25, 3 O 2.45
Na (0.7161, 0.7161, 0.7161)  3 F 2.32, 3 O 2.33
Mo (0.4903, 0.4903, 0.4903)  3 O 1.75
O (0.1788, 0.3961, 0.7447)  1 Mo 1.75
O (0.3961, 0.7447, 0.1788)  1 Mo 1.75
O (0.7447, 0.1788, 0.3961)  1 Mo 1.75
F (0.3141, 0.8499, 0.6189)  1 Mo 2.12, 3 Na 2.23-2.32
F (0.6189, 0.3141, 0.8499)  1 Mo 2.12, 3 Na 2.23-2.32
F (0.8499, 0.6189, 0.3142)  1 Mo 2.12, 3 Na 2.23-2.32

- V (Å³/cell) = 129.8
- total magnetic moment (μB per cell) = 0.00
- crystal system = trigonal
- space group = R3
- calculated formation energy (eV per atom) = -2.650


VASP calculation (r²SCAN) on SrH2 after structural relaxation.

a = 6.3486 Å, b = 3.8532 Å, c = 7.3027 Å
α = 90.00°, β = 90.00°, γ = 90.00°
Last column: nearest neighbours and their distance in Å.
Positions (direct):
Sr (0.2394, 0.2500, 0.1115)  7 H 2.42-2.70
Sr (0.2606, 0.7500, 0.6115)  7 H 2.42-2.70
Sr (0.7394, 0.2500, 0.3885)  7 H 2.42-2.70
Sr (0.7606, 0.7500, 0.8885)  7 H 2.42-2.70
H (0.0264, 0.7500, 0.3214)  5 Sr 2.59-2.81, 2 H 2.86
H (0.1450, 0.7500, 0.9276)  4 Sr 2.42-2.46
H (0.3550, 0.2500, 0.4276)  4 Sr 2.42-2.46
H (0.4736, 0.2500, 0.8214)  5 Sr 2.59-2.81, 2 H 2.86
H (0.5264, 0.7500, 0.1786)  5 Sr 2.59-2.81, 2 H 2.86
H (0.6450, 0.7500, 0.5724)  4 Sr 2.42-2.46
H (0.8550, 0.2500, 0.0724)  4 Sr 2.42-2.46
H (0.9736, 0.2500, 0.6786)  5 Sr 2.59-2.81, 2 H 2.86

- V (Å³/cell) = 178.6
- total magnetic moment (μB per cell) = 0.00
- crystal system = orthorhombic
- space group = Pnma
- calculated formation energy (eV per atom) = -0.648


VASP calculation (r²SCAN) on RbOs2O6 after structural relaxation.

a = 7.1785 Å, b = 7.1785 Å, c = 7.1785 Å
α = 60.00°, β = 60.00°, γ = 60.00°
Last column: nearest neighbours and their distance in Å.
Positions (direct):
Rb (0.1250, 0.1250, 0.1250)  6 O 3.14
Rb (0.8750, 0.8750, 0.8750)  6 O 3.14
Os (0.0000, 0.5000, 0.5000)  6 O 1.91
Os (0.5000, 0.0000, 0.5000)  6 O 1.91
Os (0.5000, 0.5000, 0.0000)  6 O 1.91
Os (0.5000, 0.5000, 0.5000)  6 O 1.91
O (0.1847, 0.1847, 0.5653)  2 Os 1.91
O (0.1847, 0.5653, 0.1847)  2 Os 1.91
O (0.1847, 0.5653, 0.5653)  2 Os 1.91
O (0.4347, 0.4347, 0.8153)  2 Os 1.91
O (0.4347, 0.8153, 0.4347)  2 Os 1.91
O (0.4347, 0.8153, 0.8153)  2 Os 1.91
O (0.5653, 0.1847, 0.1847)  2 Os 1.91
O (0.5653, 0.1847, 0.5653)  2 Os 1.91
O (0.5653, 0.5653, 0.1847)  2 Os 1.91
O (0.8153, 0.4347, 0.4347)  2 Os 1.91
O (0.8153, 0.4347, 0.8153)  2 Os 1.91
O (0.8153, 0.8153, 0.4347)  2 Os 1.91

- V (Å³/cell) = 261.6
- total magnetic moment (μB per cell) = 0.00
- crystal system = cubic
- space group = Fd-3m
- calculated formation energy (eV per atom) = -1.274